# 1
## Y4Al23Ni6 (GGA-PBE)

Data for Y4Al23Ni6 after structural relaxation.

Mass density (Mg/m³): 4.055

a b c (Å): 8.1680 8.1680 18.3393
angles (deg): 67.87 67.87 28.85
Last column: nearest neighbours and their distance in Å.
Sites, in units of the cell vectors:
Y1 0.4281 0.4281 0.4064  13 Al 3.06-3.32, 2 Ni 3.23
Y2 0.2654 0.2654 0.7810  13 Al 3.04-3.38, 2 Ni 3.26
Y3 0.5719 0.5719 0.5936  13 Al 3.06-3.32, 2 Ni 3.23
Y4 0.7346 0.7346 0.2190  13 Al 3.04-3.38, 2 Ni 3.26
Al1 0.7994 0.7994 0.5203  3 Ni 2.42-2.51, 1 Al 2.61
Al2 0.3893 0.3893 0.1642  3 Ni 2.52-2.53, 5 Al 2.70-2.82
Al3 0.5657 0.5657 0.0593  3 Ni 2.39-2.51
Al4 0.2561 0.2561 0.9535  3 Ni 2.40-2.57, 3 Al 2.61-2.68
Al5 0.4343 0.4343 0.9407  3 Ni 2.39-2.51
Al6 0.4675 0.4675 0.7815  8 Al 2.70-2.98, 2 Ni 2.72
Al7 0.7261 0.7261 0.6750  2 Ni 2.44, 1 Al 2.61
Al8 0.8552 0.8552 0.8571  2 Ni 2.45, 2 Al 2.70
Al9 0.0907 0.0907 0.7182  2 Ni 2.39-2.43
Al10 0.1448 0.1448 0.1429  2 Ni 2.45, 2 Al 2.70
Al11 0.9093 0.9093 0.2818  2 Ni 2.39-2.43
Al12 0.6219 0.6219 0.4053  1 Ni 2.34
Al13 0.2739 0.2739 0.3250  2 Ni 2.44, 1 Al 2.61
Al14 0.7439 0.7439 0.0465  3 Ni 2.40-2.57, 3 Al 2.61-2.68
Al15 0.0000 0.0000 0.5000  8 Al 2.88-3.14, 4 Y 3.15
Al16 0.0810 0.0810 0.3142  8 Al 2.86-3.14, 4 Y 3.11-3.13
Al17 0.9190 0.9190 0.6858  8 Al 2.86-3.14, 4 Y 3.11-3.13
Al18 0.3781 0.3781 0.5947  1 Ni 2.34
Al19 0.5325 0.5325 0.2185  8 Al 2.70-2.98, 2 Ni 2.72
Al20 0.2006 0.2006 0.4797  3 Ni 2.42-2.51, 1 Al 2.61
Al21 0.6107 0.6107 0.8358  3 Ni 2.52-2.53, 5 Al 2.70-2.82
Al22 0.9103 0.9103 0.0523  3 Ni 2.40-2.52, 1 Al 2.68
Al23 0.0897 0.0897 0.9477  3 Ni 2.40-2.52, 1 Al 2.68
Ni1 0.9916 0.9916 0.1390  7 Al 2.40-2.53
Ni2 0.7726 0.7726 0.3993  7 Al 2.34-2.51
Ni3 0.0084 0.0084 0.8610  7 Al 2.40-2.53
Ni4 0.2274 0.2274 0.6007  7 Al 2.34-2.51
Ni5 0.6890 0.6890 0.9318  8 Al 2.39-2.57
Ni6 0.3110 0.3110 0.0682  8 Al 2.39-2.57

***

# 2
## SiO2 (GGA-PBE)

Data for SiO2 after structural relaxation.

Total moment (μB/cell): 0.00
Mass density (Mg/m³): 0.938

a b c (Å): 10.1050 12.9553 13.1022
angles (deg): 93.70 95.67 91.61
Last column: nearest neighbours and their distance in Å.
Sites, in units of the cell vectors:
O1 0.6926 0.3299 0.3430  2 Si 1.65-1.66
O2 0.8817 0.0149 0.6013  2 Si 1.68
O3 0.3075 0.3420 0.6570  2 Si 1.65-1.66
O4 0.3482 0.9940 0.4620  2 Si 1.66
O5 0.5683 0.3510 0.7265  2 Si 1.65-1.66
O6 0.6518 0.0060 0.5380  2 Si 1.66
O7 0.5352 0.4933 0.3864  2 Si 1.66
O8 0.5682 0.6817 0.7266  2 Si 1.65-1.66
O9 0.1183 0.9851 0.3987  2 Si 1.68
O10 0.6925 0.6580 0.3430  2 Si 1.65-1.66
O11 0.6458 0.3186 0.5389  2 Si 1.65
O12 0.2765 0.8205 0.3347  2 Si 1.65-1.66
O13 0.6453 0.6928 0.5388  2 Si 1.65
O14 0.7884 0.8389 0.4700  2 Si 1.65-1.66
O15 0.5360 0.8069 0.3909  2 Si 1.65
O16 0.7232 0.8519 0.6652  2 Si 1.65-1.66
O17 0.4640 0.1931 0.6091  2 Si 1.65
O18 0.2116 0.1611 0.5300  2 Si 1.65-1.66
O19 0.2768 0.1481 0.3348  2 Si 1.65-1.66
O20 0.2111 0.8301 0.5300  2 Si 1.65-1.66
O21 0.4317 0.6490 0.2735  2 Si 1.65-1.66
O22 0.4637 0.8195 0.6090  2 Si 1.65
O23 0.7235 0.1795 0.6653  2 Si 1.65-1.66
O24 0.5363 0.1805 0.3910  2 Si 1.65
O25 0.4318 0.3183 0.2734  2 Si 1.65-1.66
O26 0.3074 0.6701 0.6570  2 Si 1.65-1.66
O27 0.4077 0.5167 0.7862  2 Si 1.68
O28 0.4648 0.5067 0.6136  2 Si 1.66
O29 0.7889 0.1699 0.4700  2 Si 1.65-1.66
O30 0.3547 0.3072 0.4612  2 Si 1.65
O31 0.3542 0.6814 0.4611  2 Si 1.65
O32 0.5923 0.4833 0.2138  2 Si 1.68
Si1 0.6721 0.2497 0.4332  4 O 1.65
Si2 0.3283 0.2509 0.5668  4 O 1.65
Si3 0.3279 0.7503 0.5668  4 O 1.65
Si4 0.3961 0.2380 0.3601  4 O 1.65
Si5 0.2347 0.0802 0.4305  4 O 1.66-1.68
Si6 0.5638 0.5790 0.3012  4 O 1.66-1.68
Si7 0.2344 0.8990 0.4304  4 O 1.66-1.68
Si8 0.3959 0.7391 0.3600  4 O 1.65
Si9 0.4362 0.6023 0.6988  4 O 1.66-1.68
Si10 0.6717 0.7491 0.4332  4 O 1.65
Si11 0.7656 0.1010 0.5696  4 O 1.66-1.68
Si12 0.4362 0.4210 0.6988  4 O 1.66-1.68
Si13 0.5638 0.3977 0.3012  4 O 1.66-1.68
Si14 0.6041 0.2609 0.6400  4 O 1.65
Si15 0.7653 0.9198 0.5695  4 O 1.66-1.68
Si16 0.6039 0.7620 0.6399  4 O 1.65

***

# 3
## Rb2LiPrCl6 (GGA-PBE)

Data for Rb2LiPrCl6 after structural relaxation.

Total moment (μB/cell): 0.00
Mass density (Mg/m³): 2.889

a b c (Å): 7.5599 7.5599 7.5599
angles (deg): 60.00 60.00 60.00
Last column: nearest neighbours and their distance in Å.
Sites, in units of the cell vectors:
Li1 0.5000 0.5000 0.5000  6 Cl 2.60
Cl1 0.7431 0.2569 0.2569  1 Li 2.60, 1 Pr 2.75
Cl2 0.7431 0.7431 0.2569  1 Li 2.60, 1 Pr 2.75
Cl3 0.7431 0.2569 0.7431  1 Li 2.60, 1 Pr 2.75
Cl4 0.2569 0.2569 0.7431  1 Li 2.60, 1 Pr 2.75
Cl5 0.2569 0.7431 0.7431  1 Li 2.60, 1 Pr 2.75
Cl6 0.2569 0.7431 0.2569  1 Li 2.60, 1 Pr 2.75
Pr1 0.0000 0.0000 0.0000  6 Cl 2.75
Rb1 0.7500 0.7500 0.7500  12 Cl 3.78
Rb2 0.2500 0.2500 0.2500  12 Cl 3.78

***

# 4
## Mg14AlGa (GGA-PBE)

Data for Mg14AlGa after structural relaxation.

Energy above the lowest structure with this stoichiometry (kJ/mol of formula units): 20.6
Total moment (μB/cell): 0.00
Mass density (Mg/m³): 2.062

a b c (Å): 6.2879 6.2277 10.3428
angles (deg): 90.00 90.00 119.68
Last column: nearest neighbours and their distance in Å.
Sites, in units of the cell vectors:
Mg1 0.3319 0.6660 0.8790  10 Mg 3.11-3.20, 1 Ga 3.12, 1 Al 3.12
Mg2 0.6659 0.3339 0.1250  8 Mg 3.10-3.17, 2 Al 3.13-3.16, 2 Ga 3.14-3.15
Mg3 0.1674 0.8337 0.6250  12 Mg 3.11-3.18
Mg4 0.6650 0.3324 0.6250  12 Mg 3.11-3.20
Mg5 0.8373 0.1686 0.3749  11 Mg 3.11-3.17, 1 Al 3.14
Mg6 0.6659 0.8320 0.1250  8 Mg 3.10-3.17, 2 Al 3.13-3.16, 2 Ga 3.14-3.15
Mg7 0.3319 0.6660 0.3710  10 Mg 3.11-3.20, 1 Ga 3.12, 1 Al 3.12
Mg8 0.1670 0.3335 0.6250  12 Mg 3.11-3.18
Mg9 0.3319 0.1660 0.8790  10 Mg 3.11-3.20, 1 Ga 3.12, 1 Al 3.12
Mg10 0.8368 0.6684 0.8739  11 Mg 3.11-3.17, 1 Ga 3.16
Mg11 0.3319 0.1660 0.3710  10 Mg 3.11-3.20, 1 Ga 3.12, 1 Al 3.12
Mg12 0.8368 0.6684 0.3761  11 Mg 3.11-3.17, 1 Ga 3.16
Mg13 0.8373 0.1686 0.8751  11 Mg 3.11-3.17, 1 Al 3.14
Mg14 0.6650 0.8326 0.6250  12 Mg 3.11-3.20
Al1 0.1629 0.3315 0.1250  2 Ga 3.11, 10 Mg 3.12-3.16
Ga1 0.1650 0.8325 0.1250  2 Al 3.11, 10 Mg 3.12-3.16

***

# 5
## Mg5Cd (GGA-PBE)

Data for Mg5Cd after structural relaxation.

Mass density (Mg/m³): 2.895

a b c (Å): 6.0278 6.0278 7.4548
angles (deg): 76.06 76.06 30.77
Last column: nearest neighbours and their distance in Å.
Sites, in units of the cell vectors:
Mg1 0.3325 0.3325 0.3330  9 Mg 3.11-3.20, 3 Cd 3.15-3.16
Mg2 0.6669 0.6669 0.6664  1 Cd 3.12, 11 Mg 3.14-3.20
Mg3 0.9452 0.9452 0.6095  10 Mg 3.14-3.20, 2 Cd 3.16
Mg4 0.0008 0.0008 0.0003  2 Cd 3.13, 10 Mg 3.14-3.20
Mg5 0.2773 0.2773 0.9456  10 Mg 3.11-3.20, 2 Cd 3.17
Cd1 0.6106 0.6106 0.2785  10 Mg 3.12-3.17, 2 Cd 3.20

***

no.,electronic total energy (eV for the cell shown)
1,-163.79
2,-367.67
3,-40.38
4,-29.35
5,-9.07